Density functional theory data (GGA-PBE) for a geometry-optimized BeSnP2 structure.

a b c (Å): 5.442 5.442 10.878
angles (deg): 90.00 90.00 90.00
Element x y z (fractional)
Be  0.000  0.000  0.000
Be  0.000  0.500  0.250
Be  0.500  0.000  0.750
Be  0.500  0.500  0.500
Sn  0.000  0.000  0.500
Sn  0.000  0.500  0.750
Sn  0.500  0.000  0.250
Sn  0.500  0.500  0.000
P  0.196  0.750  0.125
P  0.250  0.196  0.875
P  0.250  0.304  0.375
P  0.304  0.750  0.625
P  0.696  0.250  0.625
P  0.750  0.696  0.375
P  0.750  0.804  0.875
P  0.804  0.250  0.125

Results
As for the formation energy from the elements: -218.7 meV/atom. Its crystal system is tetragonal. As for the total energy: -0.179 hartree per atom. Its size of the total moment is 0.0 μB/f.u.